{"formula": "Li2FeP2O8", "functional": "PBE+U", "state": "optimized geometry", "ef_ev_per_fu": -31.1, "space_group": "P-3", "magmom_total_mub_per_atom": 0.308, "lattice": [[4.9288, -0.0002, -0.0010], [-2.4645, 4.2661, 0.0019], [-0.0019, 0.0020, 7.3263]], "species": ["O", "Fe", "O", "O", "O", "P", "Li", "O", "O", "O", "Li", "P", "O"], "frac_coords": [[0.6903, 0.6445, 0.8370], [0.0000, 0.0001, 0.9999], [0.3327, 0.6658, 0.4379], [0.3553, 0.0459, 0.8368], [0.6670, 0.3344, 0.5618], [0.3335, 0.6663, 0.2282], [0.3333, 0.6668, 0.6974], [0.9542, 0.3097, 0.8368], [0.6447, 0.9541, 0.1632], [0.3097, 0.3554, 0.1631], [0.6667, 0.3329, 0.3027], [0.6664, 0.3337, 0.7721], [0.0457, 0.6903, 0.1631]]}